#i
The following is a DFT calculation (PBE-GGA) of Ca2H2S2O9 after structural relaxation.

a b c (Å): 9.553 9.553 12.395
angles (deg): 130.40 130.40 43.96
Atoms (fractional coordinates):
Ca: 0.000 0.000 0.000
Ca: 0.087 0.583 0.583
Ca: 0.417 0.913 0.417
Ca: 0.540 0.460 0.500
Ca: 0.571 0.092 0.068
Ca: 0.908 0.429 0.932
H: 0.008 0.660 0.375
H: 0.149 0.184 0.561
H: 0.340 0.992 0.625
H: 0.355 0.643 0.063
H: 0.357 0.645 0.937
H: 0.816 0.851 0.439
S: 0.149 0.682 0.189
S: 0.300 0.202 0.250
S: 0.318 0.851 0.811
S: 0.648 0.187 0.689
S: 0.798 0.700 0.750
S: 0.813 0.352 0.311
O: 0.045 0.271 0.410
O: 0.104 0.252 0.114
O: 0.183 0.800 0.174
O: 0.200 0.817 0.826
O: 0.205 0.129 0.633
O: 0.220 0.085 0.859
O: 0.232 0.454 0.085
O: 0.260 0.393 0.391
O: 0.267 0.696 0.348
O: 0.304 0.733 0.652
O: 0.348 0.019 0.254
O: 0.417 0.286 0.646
O: 0.436 0.564 0.000
O: 0.482 0.154 0.245
O: 0.546 0.768 0.915
O: 0.607 0.740 0.609
O: 0.688 0.292 0.668
O: 0.708 0.312 0.332
O: 0.714 0.583 0.354
O: 0.729 0.955 0.590
O: 0.748 0.896 0.886
O: 0.765 0.209 0.851
O: 0.791 0.235 0.149
O: 0.846 0.518 0.755
O: 0.871 0.795 0.367
O: 0.915 0.780 0.141
O: 0.981 0.652 0.746

Values from the calculation:
- space-group type = C2



#ii
The following is a DFT calculation (PBE-GGA) of Ca2H2S2O9 after structural relaxation.

a b c (Å): 7.048 7.048 12.833
angles (deg): 90.00 90.00 120.00
Atoms (fractional coordinates):
Ca: 0.003 0.521 0.000
Ca: 0.008 0.553 0.496
Ca: 0.447 0.454 0.830
Ca: 0.479 0.482 0.333
Ca: 0.518 0.997 0.667
Ca: 0.546 0.992 0.163
H: 0.023 0.095 0.127
H: 0.031 0.144 0.735
H: 0.072 0.977 0.794
H: 0.113 0.969 0.402
H: 0.856 0.887 0.068
H: 0.905 0.928 0.461
S: 0.003 0.538 0.246
S: 0.452 0.444 0.082
S: 0.462 0.464 0.579
S: 0.536 0.997 0.913
S: 0.556 0.008 0.415
S: 0.992 0.548 0.749
O: 0.036 0.915 0.467
O: 0.085 0.121 0.801
O: 0.124 0.735 0.677
O: 0.131 0.481 0.320
O: 0.138 0.524 0.825
O: 0.148 0.729 0.179
O: 0.265 0.388 0.010
O: 0.271 0.419 0.512
O: 0.351 0.869 0.986
O: 0.386 0.862 0.492
O: 0.409 0.249 0.145
O: 0.414 0.271 0.644
O: 0.472 0.124 0.349
O: 0.476 0.614 0.158
O: 0.481 0.129 0.840
O: 0.519 0.649 0.653
O: 0.581 0.852 0.846
O: 0.612 0.876 0.343
O: 0.648 0.519 0.507
O: 0.652 0.528 0.015
O: 0.729 0.143 0.978
O: 0.751 0.160 0.478
O: 0.840 0.591 0.811
O: 0.857 0.586 0.311
O: 0.871 0.352 0.173
O: 0.876 0.348 0.682
O: 0.879 0.964 0.134

Values from the calculation:
- space-group type = P3_1



#iii
The following is a DFT calculation (PBE-GGA) of Ca2H2S2O9 after structural relaxation.

a b c (Å): 9.468 9.468 12.200
angles (deg): 129.59 129.59 43.67
Atoms (fractional coordinates):
Ca: 0.000 0.000 0.000
Ca: 0.037 0.634 0.574
Ca: 0.366 0.963 0.426
Ca: 0.500 0.500 0.500
Ca: 0.502 0.172 0.056
Ca: 0.828 0.498 0.944
H: 0.175 0.422 0.843
H: 0.390 0.303 0.826
H: 0.578 0.825 0.157
H: 0.697 0.610 0.174
H: 0.882 0.044 0.412
H: 0.956 0.118 0.588
S: 0.087 0.750 0.194
S: 0.250 0.913 0.806
S: 0.251 0.246 0.248
S: 0.602 0.225 0.688
S: 0.754 0.749 0.752
S: 0.775 0.398 0.312
O: 0.059 0.285 0.109
O: 0.118 0.150 0.838
O: 0.149 0.521 0.096
O: 0.150 0.826 0.164
O: 0.174 0.850 0.836
O: 0.199 0.441 0.385
O: 0.205 0.771 0.357
O: 0.229 0.795 0.643
O: 0.312 0.057 0.257
O: 0.331 0.350 0.894
O: 0.371 0.298 0.639
O: 0.433 0.197 0.240
O: 0.479 0.851 0.904
O: 0.559 0.801 0.615
O: 0.601 0.377 0.682
O: 0.623 0.399 0.318
O: 0.650 0.669 0.106
O: 0.702 0.001 0.583
O: 0.702 0.629 0.361
O: 0.715 0.941 0.891
O: 0.717 0.231 0.847
O: 0.769 0.283 0.153
O: 0.803 0.567 0.760
O: 0.837 0.163 0.500
O: 0.850 0.882 0.162
O: 0.943 0.688 0.743
O: 0.999 0.298 0.417

Values from the calculation:
- space-group type = C2



Of them, the most stable is #iii and the least stable is #i.



#i
The following is a DFT calculation (PBE-GGA) of CaH4SO6 after structural relaxation.

a b c (Å): 8.196 8.196 5.764
angles (deg): 99.24 99.24 133.95
Atoms (fractional coordinates):
Ca: 0.170 0.830 0.750
Ca: 0.830 0.170 0.250
H: 0.160 0.340 0.758
H: 0.239 0.253 0.590
H: 0.253 0.239 0.090
H: 0.340 0.160 0.258
H: 0.660 0.840 0.742
H: 0.747 0.761 0.910
H: 0.761 0.747 0.410
H: 0.840 0.660 0.242
S: 0.329 0.671 0.250
S: 0.671 0.329 0.750
O: 0.137 0.277 0.581
O: 0.186 0.642 0.405
O: 0.187 0.418 0.084
O: 0.277 0.137 0.081
O: 0.358 0.814 0.095
O: 0.418 0.187 0.584
O: 0.582 0.813 0.416
O: 0.642 0.186 0.905
O: 0.723 0.863 0.919
O: 0.813 0.582 0.916
O: 0.814 0.358 0.595
O: 0.863 0.723 0.419

Values from the calculation:
- space-group type = C2/c



#ii
The following is a DFT calculation (PBE-GGA) of CaH4SO6 after structural relaxation.

a b c (Å): 8.284 8.284 6.387
angles (deg): 98.01 98.01 139.87
Atoms (fractional coordinates):
Ca: 0.176 0.824 0.750
Ca: 0.824 0.176 0.250
H: 0.280 0.312 0.491
H: 0.312 0.280 0.991
H: 0.408 0.589 0.986
H: 0.411 0.592 0.514
H: 0.589 0.408 0.486
H: 0.592 0.411 0.014
H: 0.688 0.720 0.009
H: 0.720 0.688 0.509
S: 0.170 0.830 0.250
S: 0.830 0.170 0.750
O: 0.056 0.290 0.946
O: 0.074 0.622 0.341
O: 0.241 0.392 0.453
O: 0.290 0.056 0.446
O: 0.378 0.926 0.159
O: 0.392 0.241 0.953
O: 0.608 0.759 0.047
O: 0.622 0.074 0.841
O: 0.710 0.944 0.554
O: 0.759 0.608 0.547
O: 0.926 0.378 0.659
O: 0.944 0.710 0.054

Values from the calculation:
- space-group type = C2/c



Of them, the most stable is #i and the least stable is #ii.



#i
The following is a DFT calculation (PBE-GGA) of CaU2Si2H4O12 after structural relaxation.

a b c (Å): 7.040 12.918 14.132
angles (deg): 90.00 90.33 90.00
Atoms (fractional coordinates):
Ca: 0.245 0.025 0.305
Ca: 0.245 0.475 0.805
Ca: 0.755 0.525 0.195
Ca: 0.755 0.975 0.695
U: 0.255 0.246 0.475
U: 0.255 0.254 0.975
U: 0.498 0.243 0.722
U: 0.498 0.257 0.222
U: 0.502 0.743 0.778
U: 0.502 0.757 0.278
U: 0.745 0.746 0.025
U: 0.745 0.754 0.525
Si: 0.057 0.193 0.726
Si: 0.057 0.307 0.226
Si: 0.300 0.721 0.526
Si: 0.300 0.779 0.026
Si: 0.700 0.221 0.974
Si: 0.700 0.279 0.474
Si: 0.943 0.693 0.774
Si: 0.943 0.807 0.274
H: 0.127 0.658 0.261
H: 0.127 0.842 0.761
H: 0.128 0.628 0.018
H: 0.128 0.872 0.518
H: 0.244 0.542 0.514
H: 0.244 0.958 0.014
H: 0.327 0.517 0.114
H: 0.327 0.983 0.614
H: 0.673 0.017 0.386
H: 0.673 0.483 0.886
H: 0.756 0.042 0.986
H: 0.756 0.458 0.486
H: 0.872 0.128 0.482
H: 0.872 0.372 0.982
H: 0.873 0.158 0.239
H: 0.873 0.342 0.739
O: 0.012 0.577 0.772
O: 0.012 0.923 0.272
O: 0.106 0.702 0.025
O: 0.106 0.798 0.525
O: 0.145 0.731 0.275
O: 0.145 0.769 0.775
O: 0.190 0.241 0.813
O: 0.190 0.259 0.313
O: 0.190 0.611 0.526
O: 0.190 0.889 0.026
O: 0.196 0.224 0.636
O: 0.196 0.276 0.136
O: 0.251 0.101 0.454
O: 0.251 0.399 0.954
O: 0.257 0.114 0.991
O: 0.257 0.386 0.491
O: 0.438 0.750 0.437
O: 0.438 0.750 0.937
O: 0.442 0.745 0.615
O: 0.442 0.755 0.115
O: 0.461 0.601 0.782
O: 0.461 0.899 0.282
O: 0.468 0.114 0.223
O: 0.468 0.386 0.723
O: 0.532 0.614 0.277
O: 0.532 0.886 0.777
O: 0.539 0.101 0.718
O: 0.539 0.399 0.218
O: 0.558 0.245 0.885
O: 0.558 0.255 0.385
O: 0.562 0.250 0.063
O: 0.562 0.250 0.563
O: 0.743 0.614 0.509
O: 0.743 0.886 0.009
O: 0.749 0.601 0.046
O: 0.749 0.899 0.546
O: 0.804 0.724 0.864
O: 0.804 0.776 0.364
O: 0.810 0.111 0.974
O: 0.810 0.389 0.474
O: 0.810 0.741 0.687
O: 0.810 0.759 0.187
O: 0.855 0.231 0.225
O: 0.855 0.269 0.725
O: 0.894 0.202 0.475
O: 0.894 0.298 0.975
O: 0.988 0.077 0.728
O: 0.988 0.423 0.228

Values from the calculation:
- space-group type = P2_1/c



#ii
The following is a DFT calculation (PBE-GGA) of CaU2Si2H4O12 after structural relaxation.

a b c (Å): 6.860 7.035 13.654
angles (deg): 90.00 95.69 90.00
Atoms (fractional coordinates):
Ca: 0.180 0.000 0.237
Ca: 0.820 0.500 0.763
U: 0.358 0.836 0.502
U: 0.380 0.820 0.991
U: 0.620 0.320 0.009
U: 0.642 0.336 0.498
Si: 0.161 0.328 0.961
Si: 0.175 0.334 0.451
Si: 0.825 0.834 0.549
Si: 0.839 0.828 0.039
H: 0.028 0.382 0.109
H: 0.091 0.481 0.645
H: 0.262 0.404 0.304
H: 0.476 0.619 0.735
H: 0.524 0.119 0.265
H: 0.738 0.904 0.696
H: 0.909 0.981 0.355
H: 0.972 0.882 0.891
O: 0.008 0.816 0.953
O: 0.041 0.834 0.513
O: 0.042 0.349 0.858
O: 0.157 0.323 0.324
O: 0.310 0.143 0.981
O: 0.316 0.513 0.488
O: 0.317 0.498 0.001
O: 0.318 0.157 0.491
O: 0.321 0.836 0.363
O: 0.377 0.797 0.860
O: 0.378 0.847 0.125
O: 0.406 0.838 0.636
O: 0.594 0.338 0.364
O: 0.622 0.347 0.875
O: 0.623 0.297 0.140
O: 0.679 0.336 0.637
O: 0.682 0.657 0.509
O: 0.683 0.998 0.999
O: 0.684 0.013 0.512
O: 0.690 0.643 0.019
O: 0.843 0.823 0.676
O: 0.958 0.849 0.142
O: 0.959 0.334 0.487
O: 0.992 0.316 0.047

Values from the calculation:
- space-group type = P2_1



Of them, the most stable is #i and the least stable is #ii.



#i
The following is a DFT calculation (PBE-GGA) of CaHfMg6 after structural relaxation.

a b c (Å): 6.430 6.430 4.667
angles (deg): 90.00 90.00 90.00
Atoms (fractional coordinates):
Ca: 0.000 0.000 0.000
Hf: 0.500 0.500 0.000
Mg: 0.000 0.500 0.000
Mg: 0.264 0.264 0.500
Mg: 0.264 0.736 0.500
Mg: 0.500 0.000 0.000
Mg: 0.736 0.264 0.500
Mg: 0.736 0.736 0.500

Values from the calculation:
- space-group type = P4/mmm



#ii
The following is a DFT calculation (PBE-GGA) of CaHfMg6 after structural relaxation.

a b c (Å): 5.132 6.759 10.945
angles (deg): 90.00 90.00 90.00
Atoms (fractional coordinates):
Mg: 0.500 0.770 0.343
Mg: 0.500 0.500 0.591
Mg: 0.000 0.500 0.920
Mg: 0.500 0.000 0.091
Mg: 0.500 0.230 0.343
Mg: 0.500 0.270 0.843
Mg: 0.000 0.000 0.420
Mg: 0.000 0.745 0.653
Mg: 0.000 0.755 0.153
Mg: 0.500 0.730 0.843
Mg: 0.000 0.245 0.153
Mg: 0.000 0.255 0.653
Ca: 0.000 0.000 0.896
Ca: 0.000 0.500 0.396
Hf: 0.500 0.000 0.600
Hf: 0.500 0.500 0.100



Of them, the most stable is #i and the least stable is #ii.



#i
The following is a DFT calculation (PBE-GGA) of CaHfMg6O8 after structural relaxation.

a b c (Å): 4.452 4.452 8.948
angles (deg): 90.00 90.00 90.00
Atoms (fractional coordinates):
Ca: 0.000 0.000 0.000
Hf: 0.000 0.000 0.500
Mg: 0.000 0.500 0.246
Mg: 0.000 0.500 0.754
Mg: 0.500 0.000 0.246
Mg: 0.500 0.000 0.754
Mg: 0.500 0.500 0.000
Mg: 0.500 0.500 0.500
O: 0.000 0.000 0.258
O: 0.000 0.000 0.742
O: 0.000 0.500 0.000
O: 0.000 0.500 0.500
O: 0.500 0.000 0.000
O: 0.500 0.000 0.500
O: 0.500 0.500 0.247
O: 0.500 0.500 0.753

Values from the calculation:
- space-group type = P4/mmm



#ii
The following is a DFT calculation (PBE-GGA) of CaHfMg6O8 after structural relaxation.

a b c (Å): 4.411 4.411 8.892
angles (deg): 90.00 90.00 90.00
Atoms (fractional coordinates):
Ca: 0.000 0.000 0.000
Hf: 0.500 0.500 0.000
Mg: 0.000 0.000 0.500
Mg: 0.000 0.500 0.264
Mg: 0.000 0.500 0.736
Mg: 0.500 0.000 0.264
Mg: 0.500 0.000 0.736
Mg: 0.500 0.500 0.500
O: 0.000 0.000 0.267
O: 0.000 0.000 0.733
O: 0.000 0.500 0.000
O: 0.000 0.500 0.500
O: 0.500 0.000 0.000
O: 0.500 0.000 0.500
O: 0.500 0.500 0.257
O: 0.500 0.500 0.743

Values from the calculation:
- space-group type = P4/mmm



Of them, the most stable is #ii and the least stable is #i.